No. 1
This record from the Materials Project describes crystalline Cs4CO4 at its relaxed geometry. The functional is PBE.

Properties
- Formation energy: -13.75 eV/f.u.
- Total magnetic moment: 0.00 μB per cell
- Electronic total energy: -4.845 eV/atom

a = 6.2402 Å, b = 6.2402 Å, c = 6.2402 Å
α = 90.00°, β = 90.00°, γ = 90.00°
Atoms (fractional coordinates):
Cs: 0.2292 0.2292 0.7708
Cs: 0.2292 0.7708 0.2292
Cs: 0.7708 0.2292 0.2292
Cs: 0.7708 0.7708 0.7708
C: 0.5000 0.5000 0.5000
O: 0.3664 0.3664 0.3664
O: 0.3664 0.6336 0.6336
O: 0.6336 0.3664 0.6336
O: 0.6336 0.6336 0.3664

No. 2
This record from the Materials Project describes crystalline Cs4CO4 at its relaxed geometry. The functional is PBE.

Properties
- Formation energy: -13.72 eV/f.u.
- Total magnetic moment: 0.00 μB per cell
- Electronic total energy: -4.842 eV/atom

a = 6.2549 Å, b = 6.2549 Å, c = 6.2549 Å
α = 88.89°, β = 88.89°, γ = 88.89°
Atoms (fractional coordinates):
Cs: 0.0000 0.0000 0.0000
Cs: 0.4306 0.9962 0.4873
Cs: 0.4873 0.4306 0.9962
Cs: 0.9962 0.4873 0.4306
C: 0.7350 0.7350 0.7350
O: 0.5991 0.8564 0.8782
O: 0.6037 0.6037 0.6037
O: 0.8564 0.8782 0.5991
O: 0.8782 0.5991 0.8564

No. 3
This record from the Materials Project describes crystalline Cs4CO4 at its relaxed geometry. The functional is PBE.

Properties
- Formation energy: -13.87 eV/f.u.
- Total magnetic moment: 0.00 μB per cell
- Electronic total energy: -4.858 eV/atom

a = 7.5227 Å, b = 7.5227 Å, c = 7.5227 Å
α = 99.02°, β = 99.02°, γ = 133.36°
Atoms (fractional coordinates):
Cs: 0.0038 0.0038 0.6670
Cs: 0.3368 0.3368 0.3330
Cs: 0.6632 0.9962 0.0000
Cs: 0.9962 0.6632 0.0000
C: 0.5000 0.5000 0.0000
O: 0.2771 0.4492 0.0000
O: 0.4492 0.2771 0.0000
O: 0.5508 0.5508 0.8279
O: 0.7229 0.7229 0.1721